No. 1
Mn10FeN9, relaxed, DFT PBE; DFT total energy = -8.8536 eV per atom; energy of formation from the pure elements = -0.26 eV/atom; space-group type = P2_1/c; mass density = 6.08 g cm⁻³; total energy after the MP2020 corrections = -9.016 eV per atom; magnetic moment = 54.1 μB/cell
1.0
6.7310 0.0000 0.0000
0.0000 7.1749 0.0000
-0.6644 0.0000 16.5515
Mn Fe N
40 4 36
Cartesian
-0.2220 0.7497 5.9065 Mn
-0.5542 2.8377 14.1822 Mn
0.1301 0.6758 2.0545 Mn
-0.2021 2.9116 10.3303 Mn
0.4969 4.9320 16.1664 Mn
0.8291 5.8304 7.8906 Mn
0.8309 5.0993 12.8954 Mn
1.1631 5.6631 4.6197 Mn
0.9945 0.9844 13.6320 Mn
1.3267 2.6031 5.3563 Mn
1.4966 0.9103 10.4863 Mn
1.8288 2.6772 2.2106 Mn
1.6412 4.5427 10.2999 Mn
1.9734 6.2197 2.0242 Mn
2.7220 4.5724 6.5425 Mn
2.3898 6.1900 14.8182 Mn
2.7879 0.8354 7.0652 Mn
2.4556 2.7521 15.3409 Mn
3.1039 0.3048 4.2831 Mn
2.7717 3.2826 12.5588 Mn
3.2949 3.8923 3.9927 Mn
2.9627 6.8701 12.2684 Mn
3.6109 4.4228 1.2105 Mn
3.2787 6.3396 9.4863 Mn
3.6767 0.9850 1.7333 Mn
3.3445 2.6025 10.0090 Mn
4.0931 0.9553 14.5273 Mn
4.4254 2.6322 6.2516 Mn
4.2377 4.4978 14.3409 Mn
4.5700 6.2646 6.0652 Mn
4.7399 4.5718 11.1952 Mn
5.0721 6.1905 2.9195 Mn
4.9034 1.5118 11.9318 Mn
5.2357 2.0757 3.6560 Mn
5.2374 1.3445 8.6608 Mn
5.5697 2.2430 0.3851 Mn
6.2687 4.2633 6.2212 Mn
5.9365 6.4991 14.4970 Mn
6.6208 4.3372 2.3693 Mn
6.2886 6.4252 10.6450 Mn
0.5541 0.4475 16.1725 Fe
0.8863 3.1399 7.8967 Fe
5.1803 4.0350 8.6547 Fe
5.5125 6.7274 0.3790 Fe
-0.4246 4.7286 14.4573 N
-0.0923 6.0338 6.1816 N
-0.0611 4.5637 11.2827 N
0.2711 6.1987 3.0069 N
1.4054 3.7816 3.9105 N
1.0732 6.9808 12.1862 N
1.6549 4.4740 1.3784 N
1.3227 6.2884 9.6541 N
1.6296 0.7191 5.3696 N
1.2974 2.8683 13.6454 N
1.8293 0.8032 1.3281 N
1.4971 2.7843 9.6038 N
2.0835 0.8406 15.1593 N
2.4157 2.7468 6.8836 N
2.3344 4.5952 15.8236 N
2.6667 6.1672 7.5478 N
2.6955 5.2212 13.2438 N
3.0277 5.5412 4.9681 N
3.0388 1.6338 11.5834 N
3.3710 1.9537 3.3077 N
3.3999 1.0078 9.0037 N
3.7321 2.5797 0.7279 N
3.6508 4.4281 9.6679 N
3.9830 6.3343 1.3922 N
4.5695 4.3907 6.9477 N
4.2372 6.3717 15.2234 N
4.7692 4.3066 2.9061 N
4.4370 6.4558 11.1819 N
4.7439 0.8866 6.8974 N
4.4117 2.7009 15.1731 N
4.9934 0.1941 4.3652 N
4.6612 3.3933 12.6410 N
5.7955 0.9763 13.5446 N
6.1277 2.6112 5.2688 N
6.1589 1.1411 10.3699 N
6.4911 2.4464 2.0942 N

No. 2
Zn3P2O8, relaxed, DFT PBE; DFT total energy = -6.1191 eV per atom; energy of formation from the pure elements = -2.37 eV/atom; space-group type = C2/c; mass density = 3.62 g cm⁻³; total energy after the MP2020 corrections = -6.542 eV per atom
1.0
4.1629 -2.8350 0.0000
4.1629 2.8350 0.0000
-3.9171 0.0000 15.0217
Zn P O
6 4 16
Cartesian
-1.7969 0.2955 14.0149 Zn
1.2251 1.4292 11.2663 Zn
0.1617 -0.2955 6.5040 Zn
4.2471 0.2955 8.5177 Zn
3.1837 -1.4292 3.7554 Zn
6.2056 -0.2955 1.0068 Zn
-1.0925 0.3921 9.4325 P
0.8660 -0.3921 1.9217 P
3.5427 0.3921 13.1000 P
5.5013 -0.3921 5.5892 P
1.6167 2.6760 9.7146 O
0.8335 2.6760 12.8179 O
1.5509 0.6153 0.9208 O
1.4735 1.0924 6.3065 O
-0.3374 0.4130 10.7615 O
-0.4077 -0.6153 8.4316 O
1.6212 -0.4130 3.2506 O
4.8938 1.0924 1.2044 O
-0.4851 -1.0924 13.8173 O
2.7876 0.4130 11.7711 O
4.8164 0.6153 6.5901 O
4.7462 -0.4130 4.2602 O
2.9352 -1.0924 8.7152 O
2.8578 -0.6153 14.1009 O
3.5752 -2.6760 2.2038 O
2.7921 -2.6760 5.3071 O

No. 3
Ba2Ti2AlF11, relaxed, DFT PBE; DFT total energy = -6.1179 eV per atom; energy of formation from the pure elements = -3.66 eV/atom; space-group type = P3_2; mass density = 4.42 g cm⁻³; total energy after the MP2020 corrections = -6.436 eV per atom; magnetic moment = 0.0 μB/cell
1.0
7.4773 0.0000 0.0000
-3.7386 6.4755 0.0000
0.0000 0.0000 14.1012
Ba Ti Al F
6 6 3 33
Cartesian
-0.4253 0.8055 0.0000 Ba
-2.8284 6.4411 4.7004 Ba
3.2138 1.1601 11.3173 Ba
3.1365 3.1122 1.9165 Ba
4.8657 2.2031 6.6169 Ba
3.2537 5.7044 9.4008 Ba
-2.3476 4.1351 12.4083 Ti
-0.7413 2.9236 10.5405 Ti
-0.8361 5.6557 1.1397 Ti
1.3313 2.3748 7.7079 Ti
1.5774 4.3717 5.8401 Ti
1.0163 6.4411 3.0075 Ti
-0.5661 3.1210 2.9958 Al
-0.7527 5.4052 7.6962 Al
1.3188 4.4248 12.3966 Al
-2.6474 4.8651 0.3717 F
-2.4883 4.9471 7.4317 F
-0.1551 1.0605 7.2044 F
-0.9603 2.5975 4.6241 F
-2.7427 6.0796 11.9048 F
-1.7345 4.5413 2.9654 F
-0.4323 3.6002 8.2412 F
0.6985 1.8471 2.7313 F
-0.2673 3.6043 1.2457 F
0.8491 1.7502 9.7725 F
0.6730 2.7027 12.3662 F
-0.4835 4.9048 5.9461 F
-1.0090 6.0084 9.3245 F
-0.4047 5.0498 12.9416 F
2.2288 0.9664 0.3561 F
1.4969 2.3819 5.6415 F
2.6539 0.6667 7.0833 F
0.7508 4.4418 10.6465 F
0.8369 4.3011 3.5408 F
3.4751 1.1299 3.9747 F
1.0615 5.7070 7.6658 F
1.9693 4.3451 14.0249 F
2.9797 2.9010 8.6751 F
4.6661 0.1054 0.9411 F
2.9891 3.8438 11.7837 F
1.7898 6.1569 12.1321 F
1.7983 6.3357 5.0721 F
3.4612 4.0621 5.0565 F
4.7612 2.4445 13.3755 F
2.8978 5.8110 2.5040 F
5.5259 1.4470 9.7569 F
5.5729 1.9650 2.3829 F
5.0529 3.9882 10.3419 F